A plane-wave DFT calculation with PBE+U was carried out for a relaxed KPrEuWO6 crystal.

a b c (Å): 6.0742 6.0742 6.0742
angles (deg): 60.00 60.00 60.00
Fractional coordinates of all 10 atoms:
O: 0.2727 0.2727 0.7273
O: 0.2727 0.7273 0.7273
O: 0.7273 0.2727 0.2727
O: 0.2727 0.7273 0.2727
O: 0.7273 0.7273 0.2727
O: 0.7273 0.2727 0.7273
K: 0.2500 0.2500 0.2500
W: 0.5000 0.5000 0.5000
Eu: 0.7500 0.7500 0.7500
Pr: 0.0000 0.0000 0.0000

Results
- Crystal system: cubic
- Volume: 15.85 A^3/atom
- M_tot: 7.0 μB per cell
- Energy relative to the elements: -2.806 eV per atom
- Space group: F-43m
- Energy above the lowest structure with this stoichiometry: 24 meV/atom